{
  "formula": "Cd3H36C10N5Cl11",
  "functional": "PBE",
  "state": "relaxed",
  "energy_mp2020_ev_per_atom": -4.7182,
  "total_magnetization_mub_per_fu": 0.02,
  "rho_g_cm3": 1.9,
  "e_tot_ev_per_atom": -4.614,
  "delta_e_f_ev_per_atom": -0.4226,
  "sg": "Cmc2_1",
  "volume_a3_per_atom": 12.87,
  "cell": [[9.119, -5.762, 0.000], [9.119, 5.762, 0.000], [0.000, 0.000, 15.922]],
  "species": ["Cd", "Cd", "Cd", "Cd", "Cd", "Cd", "H", "H", "H", "H", "H", "H", "H", "H", "H", "H", "H", "H", "H", "H", "H", "H", "H", "H", "H", "H", "H", "H", "H", "H", "H", "H", "H", "H", "H", "H", "H", "H", "H", "H", "H", "H", "H", "H", "H", "H", "H", "H", "H", "H", "H", "H", "H", "H", "H", "H", "H", "H", "H", "H", "H", "H", "H", "H", "H", "H", "H", "H", "H", "H", "H", "H", "H", "H", "H", "H", "H", "H", "C", "C", "C", "C", "C", "C", "C", "C", "C", "C", "C", "C", "C", "C", "C", "C", "C", "C", "C", "C", "N", "N", "N", "N", "N", "N", "N", "N", "N", "N", "Cl", "Cl", "Cl", "Cl", "Cl", "Cl", "Cl", "Cl", "Cl", "Cl", "Cl", "Cl", "Cl", "Cl", "Cl", "Cl", "Cl", "Cl", "Cl", "Cl", "Cl", "Cl"],
  "frac_coords": [[0.026, 0.974, 0.500], [0.201, 0.599, 0.499], [0.401, 0.799, 0.499], [0.599, 0.201, 0.999], [0.799, 0.401, 0.999], [0.974, 0.026, 0.000], [0.021, 0.574, 0.080], [0.021, 0.574, 0.920], [0.056, 0.694, 0.263], [0.056, 0.694, 0.738], [0.072, 0.102, 0.301], [0.072, 0.102, 0.700], [0.082, 0.295, 0.828], [0.083, 0.295, 0.172], [0.088, 0.326, 0.283], [0.088, 0.326, 0.717], [0.102, 0.072, 0.200], [0.102, 0.072, 0.801], [0.156, 0.373, 0.000], [0.161, 0.624, 0.076], [0.161, 0.624, 0.925], [0.182, 0.472, 0.132], [0.182, 0.472, 0.868], [0.292, 0.408, 0.000], [0.295, 0.082, 0.328], [0.295, 0.083, 0.672], [0.306, 0.944, 0.263], [0.306, 0.944, 0.738], [0.326, 0.088, 0.217], [0.326, 0.088, 0.783], [0.373, 0.156, 0.500], [0.376, 0.839, 0.076], [0.376, 0.839, 0.925], [0.396, 0.508, 0.671], [0.408, 0.292, 0.500], [0.411, 0.490, 0.308], [0.426, 0.979, 0.080], [0.426, 0.979, 0.920], [0.472, 0.182, 0.368], [0.472, 0.182, 0.632], [0.490, 0.411, 0.808], [0.492, 0.604, 0.671], [0.508, 0.396, 0.171], [0.510, 0.589, 0.308], [0.528, 0.818, 0.132], [0.528, 0.818, 0.868], [0.574, 0.021, 0.420], [0.574, 0.021, 0.580], [0.589, 0.510, 0.808], [0.592, 0.708, 0.000], [0.604, 0.492, 0.171], [0.624, 0.161, 0.425], [0.624, 0.161, 0.576], [0.627, 0.844, 0.000], [0.674, 0.912, 0.283], [0.674, 0.912, 0.717], [0.694, 0.056, 0.238], [0.694, 0.056, 0.763], [0.705, 0.917, 0.172], [0.705, 0.918, 0.828], [0.708, 0.592, 0.500], [0.818, 0.528, 0.368], [0.818, 0.528, 0.632], [0.839, 0.376, 0.425], [0.839, 0.376, 0.576], [0.844, 0.627, 0.500], [0.898, 0.928, 0.301], [0.898, 0.928, 0.700], [0.912, 0.674, 0.217], [0.912, 0.674, 0.783], [0.917, 0.705, 0.672], [0.918, 0.705, 0.328], [0.928, 0.898, 0.200], [0.928, 0.898, 0.801], [0.944, 0.306, 0.238], [0.944, 0.306, 0.763], [0.979, 0.426, 0.420], [0.979, 0.426, 0.580], [0.055, 0.273, 0.235], [0.055, 0.273, 0.765], [0.133, 0.537, 0.922], [0.134, 0.537, 0.078], [0.273, 0.055, 0.265], [0.273, 0.055, 0.735], [0.425, 0.575, 0.252], [0.457, 0.543, 0.795], [0.463, 0.866, 0.078], [0.463, 0.867, 0.922], [0.537, 0.133, 0.422], [0.537, 0.134, 0.578], [0.543, 0.457, 0.295], [0.575, 0.425, 0.752], [0.727, 0.945, 0.235], [0.727, 0.945, 0.765], [0.866, 0.463, 0.578], [0.867, 0.463, 0.422], [0.945, 0.727, 0.265], [0.945, 0.727, 0.735], [0.122, 0.122, 0.250], [0.122, 0.122, 0.750], [0.185, 0.454, 0.000], [0.454, 0.185, 0.500], [0.466, 0.534, 0.702], [0.534, 0.466, 0.202], [0.546, 0.815, 0.000], [0.815, 0.546, 0.500], [0.878, 0.878, 0.250], [0.878, 0.878, 0.750], [0.070, 0.228, 0.001], [0.111, 0.889, 0.125], [0.112, 0.888, 0.875], [0.205, 0.795, 0.391], [0.207, 0.793, 0.612], [0.226, 0.437, 0.376], [0.228, 0.070, 0.501], [0.229, 0.439, 0.625], [0.437, 0.226, 0.876], [0.439, 0.229, 0.125], [0.481, 0.519, 0.502], [0.519, 0.481, 0.002], [0.561, 0.771, 0.625], [0.563, 0.774, 0.376], [0.771, 0.561, 0.125], [0.772, 0.930, 0.001], [0.774, 0.563, 0.876], [0.793, 0.207, 0.112], [0.795, 0.205, 0.891], [0.888, 0.112, 0.375], [0.889, 0.111, 0.625], [0.930, 0.772, 0.501]]
}



{
  "formula": "CdH9C3NCl3",
  "functional": "PBE",
  "state": "relaxed",
  "energy_mp2020_ev_per_atom": -4.7201,
  "total_magnetization_mub_per_fu": 1.00,
  "rho_g_cm3": 1.8,
  "e_tot_ev_per_atom": -4.612,
  "delta_e_f_ev_per_atom": -0.4245,
  "sg": "P6_3/m",
  "volume_a3_per_atom": 15.03,
  "cell": [[9.297, 0.000, 0.000], [-4.649, 8.052, 0.000], [0.000, 0.000, 6.827]],
  "species": ["Cd", "Cd", "H", "H", "H", "H", "H", "H", "H", "H", "H", "H", "H", "H", "H", "H", "H", "H", "H", "H", "C", "C", "C", "C", "C", "C", "N", "N", "Cl", "Cl", "Cl", "Cl", "Cl", "Cl"],
  "frac_coords": [[0.000, 0.000, 0.000], [0.000, 0.000, 0.500], [0.100, 0.560, 0.122], [0.100, 0.560, 0.378], [0.146, 0.416, 0.250], [0.271, 0.854, 0.250], [0.416, 0.271, 0.750], [0.440, 0.541, 0.122], [0.440, 0.541, 0.378], [0.459, 0.900, 0.122], [0.459, 0.900, 0.378], [0.541, 0.100, 0.622], [0.541, 0.100, 0.878], [0.560, 0.459, 0.622], [0.560, 0.459, 0.878], [0.584, 0.729, 0.250], [0.729, 0.146, 0.750], [0.854, 0.584, 0.750], [0.900, 0.440, 0.622], [0.900, 0.440, 0.878], [0.161, 0.541, 0.250], [0.380, 0.839, 0.250], [0.459, 0.620, 0.250], [0.541, 0.380, 0.750], [0.620, 0.161, 0.750], [0.839, 0.459, 0.750], [0.333, 0.667, 0.250], [0.667, 0.333, 0.750], [0.105, 0.257, 0.750], [0.152, 0.895, 0.750], [0.257, 0.152, 0.250], [0.743, 0.848, 0.750], [0.848, 0.105, 0.250], [0.895, 0.743, 0.250]]
}



{
  "formula": "CdH12C2N2Cl4",
  "functional": "PBE",
  "state": "relaxed",
  "energy_mp2020_ev_per_atom": -4.6443,
  "total_magnetization_mub_per_fu": 0.00,
  "rho_g_cm3": 1.9,
  "e_tot_ev_per_atom": -4.527,
  "delta_e_f_ev_per_atom": -0.6367,
  "sg": "Cmce",
  "volume_a3_per_atom": 13.39,
  "cell": [[3.776, -9.877, 0.000], [3.776, 9.877, 0.000], [0.000, 0.000, 7.537]],
  "species": ["Cd", "Cd", "H", "H", "H", "H", "H", "H", "H", "H", "H", "H", "H", "H", "H", "H", "H", "H", "H", "H", "H", "H", "H", "H", "H", "H", "C", "C", "C", "C", "N", "N", "N", "N", "Cl", "Cl", "Cl", "Cl", "Cl", "Cl", "Cl", "Cl"],
  "frac_coords": [[0.000, 0.000, 0.000], [0.500, 0.500, 0.500], [0.021, 0.199, 0.529], [0.092, 0.671, 0.517], [0.110, 0.890, 0.660], [0.171, 0.592, 0.017], [0.187, 0.813, 0.319], [0.199, 0.021, 0.471], [0.301, 0.479, 0.971], [0.313, 0.687, 0.819], [0.329, 0.908, 0.517], [0.390, 0.610, 0.160], [0.408, 0.829, 0.017], [0.479, 0.301, 0.029], [0.521, 0.699, 0.971], [0.592, 0.171, 0.983], [0.610, 0.390, 0.840], [0.671, 0.092, 0.483], [0.687, 0.313, 0.181], [0.699, 0.521, 0.029], [0.801, 0.979, 0.529], [0.813, 0.187, 0.681], [0.829, 0.408, 0.983], [0.890, 0.110, 0.340], [0.908, 0.329, 0.483], [0.979, 0.801, 0.471], [0.186, 0.814, 0.464], [0.314, 0.686, 0.964], [0.686, 0.314, 0.036], [0.814, 0.186, 0.536], [0.114, 0.886, 0.520], [0.386, 0.614, 0.020], [0.614, 0.386, 0.980], [0.886, 0.114, 0.480], [0.129, 0.871, 0.942], [0.231, 0.269, 0.750], [0.269, 0.231, 0.250], [0.371, 0.629, 0.442], [0.629, 0.371, 0.558], [0.731, 0.769, 0.750], [0.769, 0.731, 0.250], [0.871, 0.129, 0.058]]
}



{
  "formula": "CdH10C3NCl3",
  "functional": "PBE",
  "state": "relaxed",
  "energy_mp2020_ev_per_atom": -4.7660,
  "total_magnetization_mub_per_fu": 0.01,
  "rho_g_cm3": 2.0,
  "e_tot_ev_per_atom": -4.664,
  "delta_e_f_ev_per_atom": -0.5206,
  "sg": "Pnma",
  "volume_a3_per_atom": 12.72,
  "cell": [[14.585, 0.000, 0.000], [0.000, 6.836, 0.000], [0.000, 0.000, 9.187]],
  "species": ["Cd", "Cd", "Cd", "Cd", "H", "H", "H", "H", "H", "H", "H", "H", "H", "H", "H", "H", "H", "H", "H", "H", "H", "H", "H", "H", "H", "H", "H", "H", "H", "H", "H", "H", "H", "H", "H", "H", "H", "H", "H", "H", "H", "H", "H", "H", "C", "C", "C", "C", "C", "C", "C", "C", "C", "C", "C", "C", "N", "N", "N", "N", "Cl", "Cl", "Cl", "Cl", "Cl", "Cl", "Cl", "Cl", "Cl", "Cl", "Cl", "Cl"],
  "frac_coords": [[0.000, 0.000, 0.000], [0.000, 0.500, 0.000], [0.500, 0.000, 0.500], [0.500, 0.500, 0.500], [0.083, 0.066, 0.443], [0.083, 0.434, 0.443], [0.122, 0.076, 0.629], [0.122, 0.424, 0.629], [0.163, 0.250, 0.254], [0.186, 0.558, 0.494], [0.186, 0.942, 0.494], [0.235, 0.619, 0.803], [0.235, 0.881, 0.803], [0.244, 0.750, 0.042], [0.256, 0.250, 0.542], [0.265, 0.119, 0.303], [0.265, 0.381, 0.303], [0.314, 0.058, 0.994], [0.314, 0.442, 0.994], [0.337, 0.750, 0.754], [0.378, 0.576, 0.129], [0.378, 0.924, 0.129], [0.417, 0.566, 0.943], [0.417, 0.934, 0.943], [0.583, 0.066, 0.057], [0.583, 0.434, 0.057], [0.622, 0.076, 0.871], [0.622, 0.424, 0.871], [0.663, 0.250, 0.246], [0.686, 0.558, 0.006], [0.686, 0.942, 0.006], [0.735, 0.619, 0.697], [0.735, 0.881, 0.697], [0.744, 0.750, 0.458], [0.756, 0.250, 0.958], [0.765, 0.119, 0.197], [0.765, 0.381, 0.197], [0.814, 0.058, 0.506], [0.814, 0.442, 0.506], [0.837, 0.750, 0.746], [0.878, 0.576, 0.371], [0.878, 0.924, 0.371], [0.917, 0.566, 0.557], [0.917, 0.934, 0.557], [0.143, 0.070, 0.515], [0.143, 0.430, 0.515], [0.224, 0.250, 0.323], [0.276, 0.750, 0.823], [0.357, 0.570, 0.015], [0.357, 0.930, 0.015], [0.643, 0.070, 0.985], [0.643, 0.430, 0.985], [0.724, 0.250, 0.177], [0.776, 0.750, 0.677], [0.857, 0.570, 0.485], [0.857, 0.930, 0.485], [0.196, 0.250, 0.479], [0.304, 0.750, 0.979], [0.696, 0.250, 0.021], [0.804, 0.750, 0.521], [0.028, 0.750, 0.782], [0.108, 0.750, 0.153], [0.134, 0.250, 0.925], [0.366, 0.750, 0.425], [0.392, 0.250, 0.653], [0.472, 0.250, 0.282], [0.528, 0.750, 0.718], [0.608, 0.750, 0.347], [0.634, 0.250, 0.575], [0.866, 0.750, 0.075], [0.892, 0.250, 0.847], [0.972, 0.250, 0.218]]
}



{
  "formula": "CdH14C5N3Cl3",
  "functional": "PBE",
  "state": "relaxed",
  "energy_mp2020_ev_per_atom": -5.2060,
  "total_magnetization_mub_per_fu": 0.00,
  "rho_g_cm3": 1.7,
  "e_tot_ev_per_atom": -5.135,
  "delta_e_f_ev_per_atom": -0.3937,
  "sg": "C2/c",
  "volume_a3_per_atom": 12.49,
  "cell": [[7.755, -7.865, 0.000], [7.755, 7.865, 0.000], [-5.552, 0.000, 10.651]],
  "species": ["Cd", "Cd", "Cd", "Cd", "H", "H", "H", "H", "H", "H", "H", "H", "H", "H", "H", "H", "H", "H", "H", "H", "H", "H", "H", "H", "H", "H", "H", "H", "H", "H", "H", "H", "H", "H", "H", "H", "H", "H", "H", "H", "H", "H", "H", "H", "H", "H", "H", "H", "H", "H", "H", "H", "H", "H", "H", "H", "H", "H", "H", "H", "C", "C", "C", "C", "C", "C", "C", "C", "C", "C", "C", "C", "C", "C", "C", "C", "C", "C", "C", "C", "N", "N", "N", "N", "N", "N", "N", "N", "N", "N", "N", "N", "Cl", "Cl", "Cl", "Cl", "Cl", "Cl", "Cl", "Cl", "Cl", "Cl", "Cl", "Cl"],
  "frac_coords": [[0.116, 0.667, 0.580], [0.333, 0.884, 0.920], [0.667, 0.116, 0.080], [0.884, 0.333, 0.420], [0.006, 0.490, 0.835], [0.019, 0.721, 0.206], [0.047, 0.759, 0.086], [0.070, 0.226, 0.136], [0.114, 0.137, 0.004], [0.116, 0.448, 0.752], [0.137, 0.114, 0.504], [0.147, 0.601, 0.876], [0.195, 0.233, 0.657], [0.226, 0.070, 0.636], [0.228, 0.442, 0.269], [0.233, 0.195, 0.157], [0.241, 0.953, 0.414], [0.252, 0.533, 0.179], [0.279, 0.981, 0.294], [0.349, 0.473, 0.900], [0.353, 0.578, 0.049], [0.363, 0.424, 0.217], [0.371, 0.410, 0.023], [0.399, 0.853, 0.624], [0.410, 0.371, 0.523], [0.422, 0.647, 0.451], [0.424, 0.363, 0.717], [0.442, 0.228, 0.769], [0.448, 0.116, 0.252], [0.467, 0.748, 0.321], [0.473, 0.349, 0.400], [0.490, 0.006, 0.335], [0.510, 0.994, 0.665], [0.527, 0.651, 0.600], [0.533, 0.252, 0.679], [0.552, 0.884, 0.748], [0.558, 0.772, 0.231], [0.576, 0.637, 0.283], [0.578, 0.353, 0.549], [0.590, 0.629, 0.477], [0.601, 0.147, 0.376], [0.629, 0.590, 0.977], [0.637, 0.576, 0.783], [0.647, 0.422, 0.951], [0.651, 0.527, 0.100], [0.721, 0.019, 0.706], [0.748, 0.467, 0.821], [0.759, 0.047, 0.586], [0.767, 0.805, 0.843], [0.772, 0.558, 0.731], [0.774, 0.930, 0.364], [0.805, 0.767, 0.343], [0.853, 0.399, 0.124], [0.863, 0.886, 0.496], [0.884, 0.552, 0.248], [0.886, 0.863, 0.996], [0.930, 0.774, 0.864], [0.953, 0.241, 0.914], [0.981, 0.279, 0.794], [0.994, 0.510, 0.165], [0.108, 0.498, 0.845], [0.125, 0.356, 0.968], [0.146, 0.217, 0.094], [0.217, 0.146, 0.594], [0.261, 0.440, 0.192], [0.322, 0.479, 0.982], [0.356, 0.125, 0.468], [0.440, 0.261, 0.692], [0.479, 0.322, 0.482], [0.498, 0.108, 0.345], [0.502, 0.892, 0.655], [0.521, 0.678, 0.518], [0.560, 0.739, 0.308], [0.644, 0.875, 0.532], [0.678, 0.521, 0.018], [0.739, 0.560, 0.808], [0.783, 0.854, 0.406], [0.854, 0.783, 0.906], [0.875, 0.644, 0.032], [0.892, 0.502, 0.155], [0.013, 0.287, 0.886], [0.180, 0.337, 0.078], [0.182, 0.446, 0.939], [0.287, 0.013, 0.386], [0.337, 0.180, 0.578], [0.446, 0.182, 0.439], [0.554, 0.818, 0.561], [0.663, 0.820, 0.422], [0.713, 0.987, 0.614], [0.818, 0.554, 0.061], [0.820, 0.663, 0.922], [0.987, 0.713, 0.114], [0.114, 0.886, 0.750], [0.119, 0.418, 0.455], [0.146, 0.756, 0.417], [0.244, 0.854, 0.083], [0.336, 0.664, 0.750], [0.418, 0.119, 0.955], [0.582, 0.881, 0.045], [0.664, 0.336, 0.250], [0.756, 0.146, 0.917], [0.854, 0.244, 0.583], [0.881, 0.582, 0.545], [0.886, 0.114, 0.250]]
}



{
  "formula": "CdH4CN2Cl2O",
  "functional": "PBE",
  "state": "relaxed",
  "energy_mp2020_ev_per_atom": -5.2147,
  "total_magnetization_mub_per_fu": 0.00,
  "rho_g_cm3": 2.6,
  "e_tot_ev_per_atom": -5.152,
  "delta_e_f_ev_per_atom": -0.7565,
  "sg": "P-1",
  "volume_a3_per_atom": 14.09,
  "cell": [[3.821, 0.000, 0.000], [1.157, 8.214, 0.000], [1.311, 2.457, 9.876]],
  "species": ["Cd", "Cd", "H", "H", "H", "H", "H", "H", "H", "H", "C", "C", "N", "N", "N", "N", "Cl", "Cl", "Cl", "Cl", "O", "O"],
  "frac_coords": [[0.232, 0.381, 0.178], [0.768, 0.619, 0.822], [0.097, 0.861, 0.500], [0.330, 0.722, 0.409], [0.389, 0.183, 0.801], [0.401, 0.968, 0.876], [0.599, 0.032, 0.124], [0.611, 0.817, 0.199], [0.670, 0.278, 0.591], [0.903, 0.139, 0.500], [0.311, 0.971, 0.309], [0.689, 0.029, 0.691], [0.219, 0.840, 0.410], [0.499, 0.063, 0.803], [0.501, 0.937, 0.197], [0.781, 0.160, 0.590], [0.186, 0.693, 0.987], [0.353, 0.512, 0.690], [0.647, 0.488, 0.310], [0.814, 0.307, 0.013], [0.207, 0.121, 0.320], [0.793, 0.879, 0.680]]
}